! Zr5Sb4 | Materials Project | PBE | relaxed; values from VASP
! Total energy after the MP2020 corrections (eV for the cell shown): -132.219
! E_tot (eV/cell): -130.7
! ΔE_f (eV per atom): -0.762
! Symmetry: P6_3/mcm
&SYSTEM
  ibrav = 0, nat = 18, ntyp = 2
/
ATOMIC_SPECIES
Sb 121.76 Sb.upf
Zr 91.22 Zr.upf
CELL_PARAMETERS angstrom
4.426 -7.666 0.000
4.426 7.666 0.000
0.000 0.000 5.965
ATOMIC_POSITIONS angstrom
Sb 0.000 0.000 2.982
Sb 0.000 0.000 0.000
Sb 2.701 4.679 1.491
Sb 5.402 0.000 4.473
Sb 3.449 0.000 1.491
Sb 2.701 -4.679 1.491
Sb 1.725 -2.987 4.473
Sb 1.725 2.987 4.473
Zr 4.426 -2.555 0.000
Zr 4.426 -2.555 2.982
Zr 3.183 5.514 4.473
Zr 4.426 2.555 2.982
Zr 1.243 2.152 1.491
Zr 6.367 0.000 1.491
Zr 3.183 -5.514 4.473
Zr 4.426 2.555 0.000
Zr 1.243 -2.152 1.491
Zr 2.485 0.000 4.473